Ga3Pd5 | meta-GGA r2SCAN | relaxed

Cell and atoms, written as POSCAR:
```
Ga3Pd5
1.0
4.0147 0.0000 0.0000
0.0000 5.4738 0.0000
0.0000 0.0000 10.6340
Pd Ga
10 6
Cartesian
0.0000 0.4981 2.4614 Pd
2.0074 1.6863 4.2071 Pd
0.0000 3.2351 2.8556 Pd
2.0074 3.7875 6.4269 Pd
0.0000 0.0000 5.3170 Pd
2.0074 1.0506 9.5241 Pd
0.0000 4.9757 8.1727 Pd
0.0000 2.2388 7.7784 Pd
0.0000 2.7369 0.0000 Pd
2.0074 4.4232 1.1099 Pd
0.0000 0.0000 0.0000 Ga
2.0074 1.8861 1.5537 Ga
2.0074 0.8508 6.8708 Ga
2.0074 3.5878 9.0803 Ga
2.0074 4.6230 3.7633 Ga
0.0000 2.7369 5.3170 Ga
```

## Properties
- formation enthalpy at 0 K (eV per atom) = -0.633
- space-group type = Pbam, No. 55
- magnetic moment (μB/f.u.) = 0.0